No. 1
DFT (PBE) results for an optimized crystal structure of Na4Sc2Si3Sn2S3O24.

abc: 8.996 8.974 22.897
angles: 90.06 89.14 119.79
Fractional positions:
Na  0.996  0.646  0.253
Na  0.997  0.355  0.738
Na  0.664  0.980  0.589
Na  0.671  0.696  0.081
Na  0.338  0.309  0.902
Na  0.321  0.022  0.422
Na  0.009  0.001  0.505
Na  0.982  0.971  0.995
Na  0.652  0.328  0.820
Na  0.660  0.343  0.333
Na  0.329  0.679  0.171
Na  0.328  0.664  0.662
Sc  0.000  0.983  0.351
Sc  0.986  0.994  0.849
Sc  0.653  0.318  0.686
Sc  0.667  0.339  0.190
Sc  0.331  0.670  0.019
Sc  0.310  0.660  0.523
Si  0.301  0.001  0.253
Si  0.696  0.705  0.250
Si  0.296  0.294  0.756
Si  0.710  0.001  0.747
Si  0.961  0.331  0.587
Si  0.372  0.042  0.581
Si  0.968  0.633  0.087
Si  0.631  0.667  0.922
Si  0.030  0.657  0.417
Sn  0.016  0.019  0.648
Sn  0.997  0.980  0.155
Sn  0.678  0.349  0.984
Sn  0.677  0.338  0.487
Sn  0.331  0.668  0.316
Sn  0.362  0.674  0.811
S  0.002  0.287  0.249
S  0.006  0.709  0.752
S  0.671  0.631  0.584
S  0.672  0.047  0.082
S  0.366  0.326  0.084
S  0.040  0.378  0.918
S  0.339  0.963  0.918
S  0.628  0.963  0.418
S  0.336  0.377  0.417
O  0.215  0.029  0.311
O  0.832  0.808  0.301
O  0.985  0.186  0.301
O  0.212  0.187  0.816
O  0.986  0.793  0.804
O  0.825  0.019  0.804
O  0.790  0.963  0.688
O  0.168  0.209  0.700
O  0.036  0.813  0.698
O  0.762  0.815  0.187
O  0.027  0.209  0.194
O  0.174  0.955  0.195
O  0.875  0.359  0.645
O  0.497  0.140  0.634
O  0.647  0.523  0.634
O  0.873  0.520  0.144
O  0.649  0.131  0.133
O  0.480  0.349  0.132
O  0.436  0.292  0.028
O  0.837  0.552  0.029
O  0.689  0.146  0.027
O  0.446  0.156  0.518
O  0.699  0.558  0.528
O  0.835  0.289  0.529
O  0.539  0.681  0.982
O  0.145  0.469  0.968
O  0.318  0.858  0.970
O  0.552  0.860  0.470
O  0.327  0.468  0.468
O  0.165  0.692  0.468
O  0.108  0.622  0.354
O  0.518  0.880  0.365
O  0.364  0.480  0.362
O  0.111  0.479  0.863
O  0.360  0.884  0.864
O  0.496  0.620  0.867
O  0.021  0.835  0.413
O  0.802  0.993  0.408
O  0.179  0.207  0.413
O  0.033  0.209  0.915
O  0.191  0.991  0.916
O  0.820  0.831  0.914
O  0.963  0.147  0.587
O  0.176  0.009  0.588
O  0.827  0.804  0.588
O  0.974  0.824  0.087
O  0.830  0.033  0.085
O  0.191  0.178  0.091
O  0.703  0.179  0.746
O  0.488  0.331  0.747
O  0.855  0.538  0.747
O  0.694  0.523  0.245
O  0.851  0.308  0.244
O  0.491  0.160  0.243
O  0.632  0.478  0.923
O  0.861  0.348  0.924
O  0.499  0.138  0.923
O  0.630  0.132  0.420
O  0.488  0.349  0.418
O  0.837  0.487  0.423
O  0.359  0.487  0.078
O  0.156  0.656  0.077
O  0.522  0.871  0.078
O  0.372  0.862  0.575
O  0.521  0.655  0.577
O  0.153  0.492  0.579
O  0.299  0.815  0.256
O  0.502  0.674  0.259
O  0.157  0.463  0.251
O  0.287  0.477  0.758
O  0.160  0.686  0.758
O  0.513  0.837  0.751

* energy: -761.244 eV per cell
* ΔE_f: -2.548 eV/atom
* volume: 1604 Å³ per cell
* crystal system: triclinic

***

No. 2
DFT (PBE) results for an optimized crystal structure of Na5Sc3Si3SnS3O24.

abc: 9.064 9.053 22.765
angles: 90.68 90.11 120.16
Fractional positions:
Na  0.645  0.007  0.256
Na  0.003  0.624  0.249
Na  0.629  0.637  0.747
Na  0.372  0.012  0.756
Na  0.668  0.953  0.585
Na  0.969  0.681  0.922
Na  0.693  0.015  0.912
Na  0.964  0.304  0.410
Na  0.709  0.682  0.423
Na  0.001  0.976  0.502
Na  0.006  0.985  0.999
Na  0.648  0.323  0.832
Na  0.665  0.322  0.334
Na  0.308  0.638  0.161
Na  0.332  0.641  0.667
Sc  0.993  0.001  0.353
Sc  0.007  0.010  0.851
Sc  0.992  0.999  0.651
Sc  0.003  0.003  0.145
Sc  0.658  0.337  0.687
Sc  0.684  0.342  0.183
Sc  0.333  0.678  0.018
Sc  0.340  0.675  0.517
Sc  0.320  0.663  0.318
Si  0.004  0.296  0.250
Si  0.287  0.294  0.750
Si  0.706  0.005  0.751
Si  0.667  0.631  0.584
Si  0.967  0.632  0.084
Si  0.629  0.666  0.918
Si  0.333  0.962  0.917
Si  0.625  0.964  0.417
Si  0.039  0.670  0.418
Sn  0.658  0.341  0.982
Sn  0.674  0.340  0.483
Sn  0.351  0.671  0.816
S  0.293  0.002  0.250
S  0.705  0.706  0.249
S  0.003  0.707  0.751
S  0.962  0.334  0.584
S  0.374  0.043  0.583
S  0.668  0.042  0.083
S  0.373  0.333  0.085
S  0.044  0.378  0.917
S  0.335  0.374  0.417
O  0.212  0.023  0.303
O  0.811  0.781  0.304
O  0.972  0.182  0.310
O  0.207  0.169  0.806
O  0.974  0.782  0.805
O  0.812  0.022  0.810
O  0.786  0.962  0.693
O  0.176  0.201  0.691
O  0.032  0.815  0.699
O  0.791  0.814  0.199
O  0.017  0.189  0.195
O  0.184  0.972  0.197
O  0.872  0.354  0.634
O  0.482  0.124  0.636
O  0.650  0.517  0.641
O  0.872  0.517  0.142
O  0.646  0.126  0.136
O  0.481  0.352  0.136
O  0.444  0.297  0.030
O  0.847  0.539  0.024
O  0.689  0.146  0.030
O  0.457  0.148  0.529
O  0.689  0.542  0.522
O  0.854  0.298  0.528
O  0.529  0.692  0.972
O  0.146  0.458  0.970
O  0.297  0.834  0.971
O  0.544  0.843  0.474
O  0.308  0.452  0.470
O  0.155  0.684  0.474
O  0.114  0.626  0.358
O  0.516  0.878  0.356
O  0.365  0.482  0.365
O  0.117  0.485  0.864
O  0.371  0.883  0.856
O  0.521  0.627  0.856
O  0.009  0.832  0.411
O  0.819  0.992  0.412
O  0.182  0.203  0.410
O  0.020  0.205  0.911
O  0.165  0.979  0.911
O  0.818  0.838  0.914
O  0.974  0.177  0.588
O  0.204  0.023  0.587
O  0.837  0.824  0.585
O  0.981  0.819  0.089
O  0.822  0.027  0.088
O  0.201  0.180  0.089
O  0.675  0.167  0.743
O  0.485  0.327  0.745
O  0.850  0.536  0.743
O  0.685  0.533  0.244
O  0.826  0.311  0.246
O  0.466  0.153  0.244
O  0.660  0.500  0.920
O  0.868  0.356  0.922
O  0.520  0.144  0.926
O  0.648  0.157  0.425
O  0.491  0.358  0.422
O  0.843  0.494  0.421
O  0.362  0.488  0.079
O  0.151  0.642  0.080
O  0.515  0.871  0.079
O  0.363  0.874  0.577
O  0.497  0.653  0.580
O  0.130  0.487  0.578
O  0.312  0.847  0.254
O  0.537  0.694  0.255
O  0.168  0.491  0.253
O  0.306  0.486  0.756
O  0.159  0.692  0.757
O  0.509  0.830  0.753

* energy: -795.605 eV per cell
* ΔE_f: -2.683 eV/atom
* volume: 1615 Å³ per cell
* crystal system: triclinic